# 1
# PrFeH8C6N6O4

An optimized crystal structure of PrFeH8C6N6O4 (PBE+U, the Materials Project database).

Unit cell a=7.9260 b=7.9260 c=14.4140 alpha=90.00 beta=90.00 gamma=120.50
Last column: nearest neighbours and their distance in Å.
Atoms (fractional coordinates):
Pr (0.1760, 0.8240, 0.7500)  2 O 2.49, 6 N 2.57-2.61
Pr (0.8240, 0.1760, 0.2500)  2 O 2.49, 6 N 2.57-2.61
Fe (0.5000, 0.5000, 0.0000)  6 C 2.16-2.17
Fe (0.5000, 0.5000, 0.5000)  6 C 2.16-2.17
H (0.0223, 0.6234, 0.1951)  1 O 0.98
H (0.0223, 0.6234, 0.3049)  1 O 0.98
H (0.0876, 0.9124, 0.0957)  1 O 0.98
H (0.0876, 0.9124, 0.4043)  1 O 0.98
H (0.1879, 0.8121, 0.0461)  1 O 0.98
H (0.1879, 0.8121, 0.4539)  1 O 0.98
H (0.3766, 0.9777, 0.1951)  1 O 0.98
H (0.3766, 0.9777, 0.3049)  1 O 0.98
H (0.6234, 0.0223, 0.6951)  1 O 0.98
H (0.6234, 0.0223, 0.8049)  1 O 0.98
H (0.8121, 0.1879, 0.5461)  1 O 0.98
H (0.8121, 0.1879, 0.9539)  1 O 0.98
H (0.9124, 0.0876, 0.5957)  1 O 0.98
H (0.9124, 0.0876, 0.9043)  1 O 0.98
H (0.9777, 0.3766, 0.6951)  1 O 0.98
H (0.9777, 0.3766, 0.8049)  1 O 0.98
C (0.2564, 0.3510, 0.0946)  1 N 1.17
C (0.2564, 0.3510, 0.4054)  1 N 1.17
C (0.3510, 0.2564, 0.5946)  1 N 1.17
C (0.3510, 0.2564, 0.9054)  1 N 1.17
C (0.3557, 0.6443, 0.5605)  1 N 1.17
C (0.3557, 0.6443, 0.9395)  1 N 1.17
C (0.6443, 0.3557, 0.0605)  1 N 1.17
C (0.6443, 0.3557, 0.4395)  1 N 1.17
C (0.6490, 0.7436, 0.0946)  1 N 1.17
C (0.6490, 0.7436, 0.4054)  1 N 1.17
C (0.7436, 0.6490, 0.5946)  1 N 1.17
C (0.7436, 0.6490, 0.9054)  1 N 1.17
N (0.1183, 0.2754, 0.1426)  1 C 1.17
N (0.1183, 0.2754, 0.3574)  1 C 1.17
N (0.2754, 0.1183, 0.6426)  1 C 1.17
N (0.2754, 0.1183, 0.8574)  1 C 1.17
N (0.2805, 0.7195, 0.5988)  1 C 1.17
N (0.2805, 0.7195, 0.9012)  1 C 1.17
N (0.7195, 0.2805, 0.0988)  1 C 1.17
N (0.7195, 0.2805, 0.4012)  1 C 1.17
N (0.7246, 0.8817, 0.1426)  1 C 1.17
N (0.7246, 0.8817, 0.3574)  1 C 1.17
N (0.8817, 0.7246, 0.6426)  1 C 1.17
N (0.8817, 0.7246, 0.8574)  1 C 1.17
O (0.0272, 0.4620, 0.7500)  2 H 0.98
O (0.1575, 0.8425, 0.1075)  2 H 0.98
O (0.1575, 0.8425, 0.3925)  2 H 0.98
O (0.4620, 0.0272, 0.2500)  2 H 0.98
O (0.5380, 0.9728, 0.7500)  2 H 0.98
O (0.8425, 0.1575, 0.6075)  2 H 0.98
O (0.8425, 0.1575, 0.8925)  2 H 0.98
O (0.9728, 0.5380, 0.2500)  2 H 0.98

Summary:
E_tot: -6.65 eV per atom
Calculated formation energy: -0.474 eV/atom
SG: Cmcm (63)

# 2
# Y2MgCo2O6

An optimized crystal structure of Y2MgCo2O6 (PBE+U, the Materials Project database).

Unit cell a=3.5209 b=3.5209 c=13.4911 alpha=90.04 beta=90.04 gamma=59.94
Last column: nearest neighbours and their distance in Å.
Atoms (fractional coordinates):
Y (0.0000, 0.0000, 0.0000)  6 O 2.24-2.36
Y (0.0008, 0.0008, 0.4211)  3 O 2.08
Mg (0.3342, 0.3342, 0.6157)  5 O 2.19-2.45
Co (0.3336, 0.3336, 0.2206)  5 O 2.04-2.27
Co (0.6666, 0.6666, 0.7719)  1 O 1.88
O (0.0005, 0.0005, 0.2482)  3 Co 2.07
O (0.3333, 0.3333, 0.0696)  1 Co 2.04, 3 Y 2.24
O (0.3338, 0.3338, 0.3890)  3 Y 2.08, 1 Co 2.27
O (0.6670, 0.6670, 0.5541)  3 Mg 2.19-2.20
O (0.6666, 0.6666, 0.9114)  1 Co 1.88
O (0.9994, 0.9994, 0.7179)  3 Co 2.16

Summary:
E_tot: -7.23 eV per atom
Calculated formation energy: -2.588 eV/atom
SG: Cm (8)

# 3
# NaPr2Ti2MnO9

An optimized crystal structure of NaPr2Ti2MnO9 (PBE+U, the Materials Project database).

Unit cell a=5.5562 b=5.6054 c=23.1580 alpha=89.59 beta=89.71 gamma=87.82
Last column: nearest neighbours and their distance in Å.
Atoms (fractional coordinates):
Na (0.0000, 0.0000, 0.0000)  6 O 2.44-2.72
Na (0.0022, 0.0034, 0.6671)  4 O 2.40-2.66
Na (0.0058, 0.0038, 0.3338)  5 O 2.38-2.65
Na (0.5053, 0.4672, 0.1667)  6 O 2.43-2.70
Pr (0.0217, 0.9498, 0.1667)  6 O 2.40-2.58
Pr (0.0254, 0.9451, 0.5011)  6 O 2.40-2.57
Pr (0.0269, 0.9450, 0.8345)  6 O 2.40-2.57
Pr (0.5071, 0.4466, 0.5001)  8 O 2.41-2.66
Pr (0.5080, 0.4468, 0.8339)  8 O 2.41-2.66
Pr (0.5177, 0.5252, 0.0011)  6 O 2.39-2.61
Pr (0.5205, 0.5239, 0.3327)  6 O 2.40-2.60
Pr (0.5198, 0.5245, 0.6668)  6 O 2.40-2.61
Ti (0.0115, 0.4767, 0.5875)  6 O 1.91-2.10
Ti (0.0122, 0.4770, 0.9212)  6 O 1.90-2.10
Ti (0.0294, 0.4845, 0.2509)  5 O 1.87-2.04
Ti (0.4946, 0.9824, 0.0831)  5 O 1.91-2.04
Ti (0.5140, 0.9853, 0.4130)  6 O 1.91-2.11
Ti (0.5152, 0.9860, 0.7464)  6 O 1.90-2.12
Ti (0.5279, 0.0028, 0.2497)  5 O 1.86-2.01
Ti (0.9904, 0.4729, 0.0853)  5 O 1.88-2.03
Mn (0.0105, 0.4785, 0.4162)  6 O 1.96-2.19
Mn (0.0114, 0.4786, 0.7502)  5 O 1.96-2.16
Mn (0.5149, 0.9848, 0.5846)  5 O 1.95-2.15
Mn (0.5166, 0.9856, 0.9184)  5 O 1.95-2.15
O (0.0879, 0.4663, 0.3332)  1 Ti 1.94, 1 Mn 1.97
O (0.0916, 0.4653, 0.6675)  1 Ti 1.91, 1 Mn 1.96
O (0.0932, 0.4689, 0.0012)  2 Ti 1.91-2.03
O (0.2290, 0.2002, 0.2363)  2 Ti 1.94-1.98
O (0.2317, 0.2083, 0.4344)  1 Mn 1.96, 1 Ti 2.03
O (0.2335, 0.2090, 0.7681)  1 Mn 1.96, 1 Ti 2.03
O (0.2363, 0.2054, 0.9013)  1 Ti 1.99, 1 Mn 1.99
O (0.2361, 0.2059, 0.5676)  1 Ti 1.98, 1 Mn 1.99
O (0.2386, 0.2113, 0.0989)  2 Ti 1.91-2.00
O (0.2712, 0.7032, 0.2384)  1 Ti 1.87
O (0.2767, 0.6894, 0.5688)  1 Ti 1.97, 1 Mn 2.19
O (0.2789, 0.6896, 0.9026)  1 Ti 1.98, 1 Mn 2.19
O (0.2851, 0.7238, 0.0964)  1 Ti 1.92
O (0.3023, 0.7199, 0.4333)  1 Ti 1.98, 1 Mn 2.19
O (0.3038, 0.7203, 0.7669)  1 Ti 1.99, 1 Mn 2.19
O (0.4339, 0.9660, 0.6670)  1 Ti 1.90, 1 Mn 1.96
O (0.4347, 0.9663, 0.3333)  2 Ti 1.91-2.01
O (0.4415, 0.9725, 0.0014)  1 Ti 1.92, 1 Mn 1.97
O (0.5903, 0.9927, 0.1673)  2 Ti 1.94-2.03
O (0.5955, 0.0019, 0.5018)  1 Mn 1.97, 1 Ti 2.11
O (0.5971, 0.0027, 0.8354)  1 Mn 1.97, 1 Ti 2.12
O (0.6972, 0.2665, 0.4056)  1 Ti 1.91
O (0.6992, 0.2667, 0.7390)  1 Ti 1.92
O (0.7268, 0.2549, 0.2636)  1 Ti 1.86
O (0.7322, 0.2909, 0.5950)  1 Ti 1.91
O (0.7326, 0.2929, 0.9290)  1 Ti 1.90
O (0.7406, 0.2647, 0.0709)  1 Ti 1.88
O (0.7739, 0.7509, 0.2627)  2 Ti 1.95-2.04
O (0.7825, 0.7589, 0.4040)  1 Ti 1.93, 1 Mn 2.00
O (0.7830, 0.7525, 0.0710)  2 Ti 1.94-2.04
O (0.7843, 0.7593, 0.7377)  1 Ti 1.94, 1 Mn 2.00
O (0.7873, 0.7614, 0.5966)  1 Mn 1.95, 1 Ti 2.00
O (0.7886, 0.7614, 0.9301)  1 Mn 1.95, 1 Ti 1.99
O (0.9351, 0.4992, 0.4991)  1 Mn 1.97, 1 Ti 2.10
O (0.9365, 0.4991, 0.8327)  1 Mn 1.96, 1 Ti 2.10
O (0.9411, 0.4996, 0.1671)  2 Ti 1.92-2.00

Summary:
E_tot: -8.07 eV per atom
Calculated formation energy: -3.239 eV/atom
SG: P1 (1)

# 4
# TiCo3P4O16

An optimized crystal structure of TiCo3P4O16 (PBE+U, the Materials Project database).

Unit cell a=4.9023 b=5.9546 c=9.8587 alpha=90.00 beta=90.15 gamma=90.00
Last column: nearest neighbours and their distance in Å.
Atoms (fractional coordinates):
Ti (0.0000, 0.0000, 0.0000)  6 O 1.90-2.06
Co (0.4319, 0.0000, 0.5039)  4 O 1.88-2.10
Co (0.4967, 0.5000, 0.0446)  2 O 1.94
Co (0.9383, 0.5000, 0.5432)  2 O 1.86-1.91
P (0.0334, 0.5000, 0.8679)  4 O 1.51-1.59
P (0.3785, 0.5000, 0.3732)  4 O 1.51-1.58
P (0.5713, 0.0000, 0.1768)  4 O 1.53-1.57
P (0.8767, 0.0000, 0.6724)  4 O 1.54-1.56
O (0.1121, 0.5000, 0.7167)  1 P 1.54
O (0.1737, 0.2931, 0.9433)  1 P 1.59
O (0.1737, 0.7069, 0.9433)  1 P 1.59
O (0.1882, 0.0000, 0.6512)  1 P 1.54
O (0.2320, 0.2965, 0.4447)  1 P 1.58
O (0.2320, 0.7035, 0.4447)  1 P 1.58
O (0.2658, 0.0000, 0.1411)  1 P 1.54
O (0.3248, 0.5000, 0.2220)  1 P 1.51
O (0.6114, 0.0000, 0.3305)  1 P 1.53
O (0.6901, 0.5000, 0.4006)  1 P 1.55
O (0.7242, 0.1974, 0.1034)  1 P 1.57
O (0.7242, 0.8026, 0.1034)  1 P 1.57
O (0.7281, 0.2029, 0.6051)  1 P 1.56
O (0.7283, 0.5000, 0.8857)  1 P 1.51
O (0.7281, 0.7971, 0.6051)  1 P 1.56
O (0.8251, 0.0000, 0.8282)  1 P 1.56

Summary:
E_tot: -7.10 eV per atom
Calculated formation energy: -2.342 eV/atom
SG: Pm (6)

# 5
# MgVP2O7

An optimized crystal structure of MgVP2O7 (PBE+U, the Materials Project database).

Unit cell a=5.4020 b=5.4020 c=4.9199 alpha=96.04 beta=96.04 gamma=100.10
Last column: nearest neighbours and their distance in Å.
Atoms (fractional coordinates):
Mg (0.0000, 0.0000, 0.0000)  2 O 2.02
V (0.4162, 0.5838, 0.0000)  6 O 2.19-2.21
P (0.2820, 0.1392, 0.4381)  3 O 1.50-1.56
P (0.8608, 0.7180, 0.5619)  3 O 1.50-1.56
O (0.0789, 0.6466, 0.7424)  1 P 1.53
O (0.1974, 0.3183, 0.2318)  1 P 1.56
O (0.3534, 0.9211, 0.2576)  1 P 1.53
O (0.4321, 0.2531, 0.7095)  1 P 1.50
O (0.6817, 0.8026, 0.7682)  1 P 1.56
O (0.7469, 0.5679, 0.2905)  1 P 1.50
O (0.9874, 0.0126, 0.5000)  2 P 1.69

Summary:
E_tot: -7.06 eV per atom
Calculated formation energy: -2.549 eV/atom
Polymorph energy (0 for the lowest one): 0.241 eV per atom
SG: C2 (5)

# 6
# GaFeO3

An optimized crystal structure of GaFeO3 (PBE+U, the Materials Project database).

Unit cell a=3.7847 b=3.7847 c=3.7847 alpha=90.00 beta=90.00 gamma=90.00
Last column: nearest neighbours and their distance in Å.
Atoms (fractional coordinates):
Ga (0.0000, 0.0000, 0.0000)  6 O 1.89
Fe (0.5000, 0.5000, 0.5000)  12 O 2.68
O (0.0000, 0.0000, 0.5000)  2 Ga 1.89
O (0.0000, 0.5000, 0.0000)  2 Ga 1.89
O (0.5000, 0.0000, 0.0000)  2 Ga 1.89

Summary:
E_tot: -5.45 eV per atom
Calculated formation energy: -1.047 eV/atom
SG: Pm-3m (221)

# 7
# Li2AlNiO4

An optimized crystal structure of Li2AlNiO4 (PBE+U, the Materials Project database).

Unit cell a=5.2928 b=5.2929 c=12.7563 alpha=89.99 beta=89.99 gamma=89.65
Last column: nearest neighbours and their distance in Å.
Atoms (fractional coordinates):
O (0.7049, 0.6599, 0.2571)  1 Al 1.79, 1 Ni 1.85, 1 Li 1.97
O (0.7980, 0.1762, 0.8644)  1 Al 1.77, 1 Ni 1.88, 1 Li 1.97
O (0.2022, 0.8239, 0.6142)  1 Al 1.77, 1 Ni 1.88, 1 Li 1.97
O (0.8237, 0.2020, 0.1357)  1 Al 1.77, 1 Ni 1.88, 1 Li 1.97
O (0.6600, 0.7048, 0.4927)  1 Al 1.79, 1 Ni 1.85, 1 Li 1.97
O (0.3401, 0.2951, 0.2429)  1 Al 1.79, 1 Ni 1.85, 1 Li 1.97
O (0.3400, 0.2950, 0.7429)  1 Al 1.79, 1 Ni 1.85, 1 Li 1.97
O (0.1761, 0.7979, 0.3856)  1 Al 1.77, 1 Ni 1.88, 1 Li 1.97
O (0.2021, 0.8239, 0.1144)  1 Al 1.77, 1 Ni 1.88, 1 Li 1.97
O (0.2953, 0.3401, 0.5071)  1 Al 1.79, 1 Ni 1.85, 1 Li 1.97
O (0.8238, 0.2020, 0.6357)  1 Al 1.77, 1 Ni 1.88, 1 Li 1.97
O (0.1761, 0.7978, 0.8858)  1 Al 1.77, 1 Ni 1.88, 1 Li 1.97
O (0.7050, 0.6600, 0.7571)  1 Al 1.79, 1 Ni 1.85, 1 Li 1.97
O (0.6599, 0.7047, 0.9929)  1 Al 1.79, 1 Ni 1.85, 1 Li 1.97
O (0.2952, 0.3400, 0.0073)  1 Al 1.79, 1 Ni 1.85, 1 Li 1.97
O (0.7980, 0.1763, 0.3643)  1 Al 1.77, 1 Ni 1.88, 1 Li 1.97
Ni (0.8233, 0.8236, 0.8751)  4 O 1.85-1.88
Ni (0.1763, 0.1765, 0.1251)  4 O 1.85-1.88
Ni (0.1764, 0.1767, 0.6249)  4 O 1.85-1.88
Ni (0.8235, 0.8237, 0.3749)  4 O 1.85-1.88
Li (0.3135, 0.6865, 0.7500)  4 O 1.97-2.08
Li (0.3136, 0.6864, 0.2500)  4 O 1.97-2.08
Li (0.6865, 0.3135, 0.5000)  4 O 1.97-2.08
Li (0.8173, 0.8173, 0.6250)  4 O 1.97-2.04
Li (0.1827, 0.1827, 0.8750)  4 O 1.97-2.04
Li (0.6865, 0.3135, 0.0000)  4 O 1.97-2.08
Li (0.1827, 0.1827, 0.3749)  4 O 1.97-2.04
Li (0.8173, 0.8173, 0.1251)  4 O 1.97-2.04
Al (0.3234, 0.6766, 0.0000)  4 O 1.77-1.79
Al (0.3234, 0.6766, 0.5000)  4 O 1.77-1.79
Al (0.6765, 0.3235, 0.2500)  4 O 1.77-1.79
Al (0.6765, 0.3235, 0.7500)  4 O 1.77-1.79

Summary:
E_tot: -5.69 eV per atom
Calculated formation energy: -2.205 eV/atom

# 8
# La4MgNiO8

An optimized crystal structure of La4MgNiO8 (PBE+U, the Materials Project database).

Unit cell a=8.7495 b=8.7495 c=5.1323 alpha=90.00 beta=90.00 gamma=144.41
Last column: nearest neighbours and their distance in Å.
Atoms (fractional coordinates):
La (0.0973, 0.9027, 0.0000)  4 O 2.41
La (0.3231, 0.6769, 0.5000)  1 O 2.18
La (0.6769, 0.3231, 0.5000)  1 O 2.18
La (0.9027, 0.0973, 0.0000)  4 O 2.41
Mg (0.5000, 0.5000, 0.5000)  4 O 1.92
Ni (0.5000, 0.5000, 0.0000)  4 O 1.91
O (0.1921, 0.8079, 0.5000)  1 La 2.18
O (0.2334, 0.2334, 0.2483)  1 Ni 1.91, 1 Mg 1.92
O (0.2334, 0.2334, 0.7517)  1 Ni 1.91, 1 Mg 1.92
O (0.3463, 0.6537, 0.0000)  1 Ni 2.56, 4 La 2.60-2.83
O (0.6537, 0.3463, 0.0000)  1 Ni 2.56, 4 La 2.60-2.83
O (0.7666, 0.7666, 0.2483)  1 Ni 1.91, 1 Mg 1.92
O (0.7666, 0.7666, 0.7517)  1 Ni 1.91, 1 Mg 1.92
O (0.8079, 0.1921, 0.5000)  1 La 2.18

Summary:
E_tot: -6.99 eV per atom
Calculated formation energy: -2.796 eV/atom
Polymorph energy (0 for the lowest one): 0.491 eV per atom
SG: Cmmm (65)

- Which of these has the lowest E_tot?
  NaPr2Ti2MnO9

- Which value of calculated formation energy does entry 8 give?
  -2.796 eV/atom

- Look up the E_tot of the third one.
  -8.07 eV per atom